{
  "formula": "Ba8LiNb7O24",
  "functional": "PBE",
  "state": "relaxed",
  "e_form_ev_per_atom": -3.1738,
  "final_energy_ev_per_atom": -7.930,
  "magmom_total_mub_per_fu": 0.1,
  "cell": [[5.922, 0.000, 0.000], [-2.961, 5.129, 0.000], [0.000, 0.000, 19.222]],
  "species": ["Ba", "Ba", "Ba", "Ba", "Ba", "Ba", "Ba", "Ba", "Li", "Nb", "Nb", "Nb", "Nb", "Nb", "Nb", "Nb", "O", "O", "O", "O", "O", "O", "O", "O", "O", "O", "O", "O", "O", "O", "O", "O", "O", "O", "O", "O", "O", "O", "O", "O"],
  "frac_coords": [[0.000, 0.000, 0.000], [0.000, 0.000, 0.222], [0.000, 0.000, 0.615], [0.333, 0.667, 0.359], [0.333, 0.667, 0.867], [0.667, 0.333, 0.117], [0.667, 0.333, 0.497], [0.667, 0.333, 0.730], [0.333, 0.667, 0.197], [0.000, 0.000, 0.425], [0.000, 0.000, 0.805], [0.333, 0.667, 0.055], [0.333, 0.667, 0.548], [0.333, 0.667, 0.683], [0.667, 0.333, 0.299], [0.667, 0.333, 0.926], [0.010, 0.505, 0.615], [0.164, 0.328, 0.489], [0.164, 0.329, 0.742], [0.164, 0.836, 0.489], [0.164, 0.836, 0.742], [0.175, 0.350, 0.109], [0.175, 0.825, 0.109], [0.332, 0.166, 0.369], [0.334, 0.167, 0.864], [0.495, 0.505, 0.615], [0.495, 0.990, 0.615], [0.502, 0.004, 0.986], [0.502, 0.498, 0.986], [0.507, 0.014, 0.246], [0.507, 0.493, 0.246], [0.650, 0.825, 0.109], [0.671, 0.836, 0.742], [0.672, 0.836, 0.489], [0.833, 0.167, 0.864], [0.833, 0.666, 0.864], [0.834, 0.166, 0.369], [0.834, 0.668, 0.369], [0.986, 0.493, 0.246], [0.996, 0.498, 0.986]]
}

---

{
  "formula": "Ta2N3F",
  "functional": "PBE",
  "state": "relaxed",
  "e_form_ev_per_atom": -0.9946,
  "final_energy_ev_per_atom": -9.357,
  "magmom_total_mub_per_fu": 0.1,
  "cell": [[5.419, 0.000, 0.000], [-2.710, 4.693, 0.000], [0.000, 0.000, 2.802]],
  "species": ["Ta", "Ta", "N", "N", "N", "F"],
  "frac_coords": [[0.333, 0.667, 0.000], [0.667, 0.333, 0.000], [0.000, 0.500, 0.500], [0.500, 0.000, 0.500], [0.500, 0.500, 0.500], [0.000, 0.000, 0.500]]
}

---

{
  "formula": "Gd2BiO2",
  "functional": "PBE",
  "state": "relaxed",
  "e_form_ev_per_atom": -2.9152,
  "final_energy_ev_per_atom": -11.028,
  "cell": [[-1.971, 1.971, 6.878], [1.971, -1.971, 6.878], [1.971, 1.971, -6.878]],
  "species": ["Gd", "Gd", "Bi", "O", "O"],
  "frac_coords": [[0.167, 0.167, 0.000], [0.833, 0.833, 0.000], [0.500, 0.500, 0.000], [0.250, 0.750, 0.500], [0.750, 0.250, 0.500]]
}

---

{
  "formula": "KBaAsO4",
  "functional": "PBE",
  "state": "relaxed",
  "e_form_ev_per_atom": -2.4728,
  "final_energy_ev_per_atom": -6.006,
  "magmom_total_mub_per_fu": 0.0,
  "cell": [[7.924, 0.000, 0.000], [0.000, 5.994, 0.000], [0.000, 0.000, 10.485]],
  "species": ["K", "K", "K", "K", "Ba", "Ba", "Ba", "Ba", "As", "As", "As", "As", "O", "O", "O", "O", "O", "O", "O", "O", "O", "O", "O", "O", "O", "O", "O", "O"],
  "frac_coords": [[0.166, 0.250, 0.081], [0.334, 0.750, 0.581], [0.666, 0.250, 0.419], [0.834, 0.750, 0.919], [0.005, 0.750, 0.302], [0.495, 0.250, 0.802], [0.505, 0.750, 0.198], [0.995, 0.250, 0.698], [0.229, 0.250, 0.418], [0.271, 0.750, 0.918], [0.729, 0.250, 0.082], [0.771, 0.750, 0.582], [0.012, 0.250, 0.424], [0.191, 0.750, 0.072], [0.203, 0.513, 0.840], [0.203, 0.987, 0.840], [0.297, 0.013, 0.340], [0.297, 0.487, 0.340], [0.309, 0.250, 0.572], [0.488, 0.750, 0.924], [0.512, 0.250, 0.076], [0.691, 0.750, 0.428], [0.703, 0.513, 0.660], [0.703, 0.987, 0.660], [0.797, 0.013, 0.160], [0.797, 0.487, 0.160], [0.809, 0.250, 0.928], [0.988, 0.750, 0.576]]
}

---

{
  "formula": "SiNi",
  "functional": "PBE",
  "state": "relaxed",
  "e_form_ev_per_atom": -0.4997,
  "final_energy_ev_per_atom": -6.102,
  "cell": [[5.155, 0.000, 0.000], [0.000, 3.350, 0.000], [0.000, 0.000, 5.581]],
  "species": ["Si", "Si", "Si", "Si", "Ni", "Ni", "Ni", "Ni"],
  "frac_coords": [[0.178, 0.250, 0.083], [0.322, 0.750, 0.583], [0.678, 0.250, 0.417], [0.822, 0.750, 0.917], [0.009, 0.250, 0.688], [0.491, 0.750, 0.188], [0.509, 0.250, 0.812], [0.991, 0.750, 0.312]]
}

---

{
  "formula": "BaGa2Si2O8",
  "functional": "PBE",
  "state": "relaxed",
  "e_form_ev_per_atom": -2.9799,
  "final_energy_ev_per_atom": -7.050,
  "magmom_total_mub_per_fu": 0.0,
  "cell": [[6.832, -6.701, 0.000], [6.832, 6.701, 0.000], [-1.667, 0.000, 8.690]],
  "species": ["Ba", "Ba", "Ba", "Ba", "Ga", "Ga", "Ga", "Ga", "Ga", "Ga", "Ga", "Ga", "Si", "Si", "Si", "Si", "Si", "Si", "Si", "Si", "O", "O", "O", "O", "O", "O", "O", "O", "O", "O", "O", "O", "O", "O", "O", "O", "O", "O", "O", "O", "O", "O", "O", "O", "O", "O", "O", "O", "O", "O", "O", "O"],
  "frac_coords": [[0.064, 0.565, 0.786], [0.435, 0.936, 0.714], [0.565, 0.064, 0.286], [0.936, 0.435, 0.214], [0.065, 0.196, 0.886], [0.196, 0.065, 0.386], [0.300, 0.549, 0.465], [0.451, 0.700, 0.035], [0.549, 0.300, 0.965], [0.700, 0.451, 0.535], [0.804, 0.935, 0.614], [0.935, 0.804, 0.114], [0.062, 0.786, 0.478], [0.214, 0.938, 0.022], [0.285, 0.427, 0.095], [0.427, 0.285, 0.595], [0.573, 0.715, 0.405], [0.715, 0.573, 0.905], [0.786, 0.062, 0.978], [0.938, 0.214, 0.522], [0.021, 0.255, 0.696], [0.046, 0.185, 0.391], [0.088, 0.823, 0.009], [0.135, 0.366, 0.995], [0.143, 0.643, 0.531], [0.177, 0.912, 0.491], [0.185, 0.046, 0.891], [0.238, 0.474, 0.266], [0.255, 0.021, 0.196], [0.316, 0.417, 0.601], [0.319, 0.559, 0.005], [0.357, 0.857, 0.969], [0.366, 0.135, 0.495], [0.417, 0.316, 0.101], [0.441, 0.681, 0.495], [0.474, 0.238, 0.766], [0.526, 0.762, 0.234], [0.559, 0.319, 0.505], [0.583, 0.684, 0.899], [0.634, 0.865, 0.505], [0.643, 0.143, 0.031], [0.681, 0.441, 0.995], [0.684, 0.583, 0.399], [0.745, 0.979, 0.804], [0.762, 0.526, 0.734], [0.815, 0.954, 0.109], [0.823, 0.088, 0.509], [0.857, 0.357, 0.469], [0.865, 0.634, 0.005], [0.912, 0.177, 0.991], [0.954, 0.815, 0.609], [0.979, 0.745, 0.304]]
}

---

{
  "formula": "CeNdHg2",
  "functional": "PBE",
  "state": "relaxed",
  "e_form_ev_per_atom": -0.3697,
  "final_energy_ev_per_atom": -3.197,
  "cell": [[0.000, 3.796, 3.796], [3.796, 0.000, 3.796], [3.796, 3.796, 0.000]],
  "species": ["Ce", "Nd", "Hg", "Hg"],
  "frac_coords": [[0.000, 0.000, 0.000], [0.500, 0.500, 0.500], [0.250, 0.250, 0.250], [0.750, 0.750, 0.750]]
}

---

{
  "formula": "K3Mo2Br9",
  "functional": "PBE",
  "state": "relaxed",
  "e_form_ev_per_atom": -1.4261,
  "final_energy_ev_per_atom": -3.922,
  "cell": [[7.618, 0.000, 0.000], [-3.809, 6.598, 0.000], [0.000, 0.000, 18.560]],
  "species": ["K", "K", "K", "K", "K", "K", "Mo", "Mo", "Mo", "Mo", "Br", "Br", "Br", "Br", "Br", "Br", "Br", "Br", "Br", "Br", "Br", "Br", "Br", "Br", "Br", "Br", "Br", "Br"],
  "frac_coords": [[0.000, 0.000, 0.250], [0.000, 0.000, 0.750], [0.333, 0.667, 0.054], [0.333, 0.667, 0.446], [0.667, 0.333, 0.554], [0.667, 0.333, 0.946], [0.333, 0.667, 0.673], [0.333, 0.667, 0.827], [0.667, 0.333, 0.173], [0.667, 0.333, 0.327], [0.004, 0.555, 0.750], [0.121, 0.351, 0.593], [0.121, 0.351, 0.907], [0.230, 0.879, 0.593], [0.230, 0.879, 0.907], [0.351, 0.230, 0.093], [0.351, 0.230, 0.407], [0.445, 0.450, 0.750], [0.450, 0.004, 0.250], [0.550, 0.996, 0.750], [0.555, 0.550, 0.250], [0.649, 0.770, 0.593], [0.649, 0.770, 0.907], [0.770, 0.121, 0.093], [0.770, 0.121, 0.407], [0.879, 0.649, 0.093], [0.879, 0.649, 0.407], [0.996, 0.445, 0.250]]
}